Entry from the Materials Project: an optimized crystal structure of NbTlCl4O (PBE-GGA).

a = 8.0854 Å, b = 15.3304 Å, c = 13.0589 Å
α = 90.00°, β = 90.00°, γ = 90.00°
Atoms (fractional coordinates):
Nb 0.1910 0.0917 0.2462
Nb 0.1910 0.4083 0.7462
Nb 0.3090 0.5917 0.2462
Nb 0.3090 0.9083 0.7462
Nb 0.6910 0.0917 0.2538
Nb 0.6910 0.4083 0.7538
Nb 0.8090 0.5917 0.2538
Nb 0.8090 0.9083 0.7538
Tl 0.0109 0.6551 0.8954
Tl 0.0109 0.8449 0.3954
Tl 0.4891 0.1551 0.8954
Tl 0.4891 0.3449 0.3954
Tl 0.5109 0.6551 0.6046
Tl 0.5109 0.8449 0.1046
Tl 0.9891 0.1551 0.6046
Tl 0.9891 0.3449 0.1046
Cl 0.1448 0.1467 0.0759
Cl 0.1448 0.3533 0.5759
Cl 0.1494 0.5556 0.6868
Cl 0.1494 0.9444 0.1868
Cl 0.1546 0.2387 0.3127
Cl 0.1546 0.2613 0.8127
Cl 0.1714 0.0385 0.4204
Cl 0.1714 0.4615 0.9204
Cl 0.3286 0.5385 0.4204
Cl 0.3286 0.9615 0.9204
Cl 0.3454 0.7387 0.3127
Cl 0.3454 0.7613 0.8127
Cl 0.3506 0.0556 0.6868
Cl 0.3506 0.4444 0.1868
Cl 0.3552 0.6467 0.0759
Cl 0.3552 0.8533 0.5759
Cl 0.6448 0.1467 0.4241
Cl 0.6448 0.3533 0.9241
Cl 0.6494 0.5556 0.8132
Cl 0.6494 0.9444 0.3132
Cl 0.6546 0.2387 0.1873
Cl 0.6546 0.2613 0.6873
Cl 0.6714 0.0385 0.0796
Cl 0.6714 0.4615 0.5796
Cl 0.8286 0.5385 0.0796
Cl 0.8286 0.9615 0.5796
Cl 0.8454 0.7387 0.1873
Cl 0.8454 0.7613 0.6873
Cl 0.8506 0.0556 0.8132
Cl 0.8506 0.4444 0.3132
Cl 0.8552 0.6467 0.4241
Cl 0.8552 0.8533 0.9241
O 0.0885 0.5919 0.2428
O 0.0885 0.9081 0.7428
O 0.4115 0.0919 0.2428
O 0.4115 0.4081 0.7428
O 0.5885 0.5919 0.2572
O 0.5885 0.9081 0.7572
O 0.9115 0.0919 0.2572
O 0.9115 0.4081 0.7572

ΔH_f (0 K): -152.9 kJ per mole of atoms
E: -5.03 eV per atom